Below is Sr4MgFe4O10 after structural relaxation, with properties calculated at the PBE+U level.

The space group is Cm (No. 8) and the conventional cell measures 7.739, 16.982 and 5.568 Å, with angles of 90.00, 133.76 and 90.00 degrees. The inequivalent atoms are Sr at (0.000, 0.145, 0.000), Sr at (0.480, 0.149, 0.984), Mg at (0.101, 0.500, 0.694), Fe at (0.295, 0.000, 0.068), Fe at (0.381, 0.500, 0.444), Fe at (0.482, 0.265, 0.481), O at (0.032, 0.500, 0.987), O at (0.231, 0.255, 0.977), O at (0.233, 0.248, 0.482), O at (0.441, 0.094, 0.388), O at (0.444, 0.500, 0.881) and O at (0.485, 0.383, 0.494).

The crystal system is monoclinic. The calculation puts the energy with MP2020 corrections at -270.92 eV per cell. The formation energy is -2302 meV/atom. The energy relative to the lowest polymorph listed for this composition is 0.0 meV/atom.